## MgO2 (GGA-PBE)

Data for a relaxed structure of MgO2.

Lattice parameters (Å, degrees): 3.427 3.427 3.935 85.60 85.60 53.65
Fractional coordinates of all 3 atoms:
Mg 0.000 0.000 0.000
O 0.313 0.313 0.795
O 0.687 0.687 0.205

Summary:
SG	No. 12
size of the total moment	2.00	μB/cell
DFT formation energy	-1.495	eV per atom